1.
Ho2Cr2Co15 | PBE | optimized geometry

```
38
Lattice="8.264 0.000 0.000 -4.132 7.157 0.000 0.000 0.000 8.089" Properties=species:S:1:pos:R:3 pbc="T T T"
Ho 0.000 0.000 2.022
Ho 0.000 0.000 6.067
Ho 0.000 4.771 2.022
Ho 4.132 2.386 6.067
Cr 0.000 4.771 5.050
Cr 0.000 4.771 7.084
Cr 4.132 2.386 1.006
Cr 4.132 2.386 3.039
Co -2.066 3.579 0.000
Co -2.066 3.579 4.045
Co -1.213 2.614 6.067
Co -2.474 4.800 6.067
Co 0.000 2.392 0.134
Co 0.000 2.392 3.911
Co -2.061 5.961 0.134
Co -2.061 5.961 3.911
Co 1.213 2.614 6.067
Co -1.262 6.900 6.067
Co 2.071 1.196 4.178
Co 2.071 1.196 7.955
Co 2.871 0.257 2.022
Co 1.658 2.358 2.022
Co 4.132 0.000 0.000
Co 4.132 0.000 4.045
Co 2.066 3.579 0.000
Co 2.066 3.579 4.045
Co 2.474 4.800 6.067
Co 1.262 6.900 6.067
Co 2.061 5.961 0.134
Co 2.061 5.961 3.911
Co 5.394 0.257 2.022
Co 2.919 4.543 2.022
Co 6.193 1.196 4.178
Co 6.193 1.196 7.955
Co 4.132 4.765 4.178
Co 4.132 4.765 7.955
Co 6.607 2.358 2.022
Co 5.345 4.543 2.022
```

Summary:
The formation enthalpy at 0 K comes out at -70 meV per atom. The value obtained for the volume is 478 Å³/cell. As for the crystal system: hexagonal. The calculation puts the total energy at -0.26387 hartree per atom.


2.
Cr3InCo2S8 | PBE | optimized geometry

```
14
Lattice="3.549 2.049 5.880 -3.549 2.049 5.880 0.000 -4.099 5.880" Properties=species:S:1:pos:R:3 pbc="T T T"
Cr -1.775 -1.025 5.880
Cr -1.775 1.025 11.761
Cr 0.000 2.049 5.880
In 0.000 0.000 8.821
Co 0.000 0.000 2.216
Co 0.000 0.000 15.426
S 0.000 -2.014 7.195
S -1.744 1.007 7.195
S 0.000 0.000 4.554
S -1.744 -1.007 10.446
S 1.744 1.007 7.195
S 0.000 0.000 13.087
S 1.744 -1.007 10.446
S 0.000 2.014 10.446
```

Summary:
The calculation puts the corrected total energy (MP2020 scheme) at -6.42 eV/atom. The formation enthalpy at 0 K comes out at -771 meV per atom. The value obtained for the volume is 257 Å³/cell. As for the crystal system: trigonal. The calculation puts the total energy at -0.22520 hartree per atom.


Q: formation enthalpy at 0 K of number 1 (Ho2Cr2Co15)?
A: -70 meV per atom


Q: What is the formation enthalpy at 0 K in the first record?
A: -70 meV per atom


Q: Look up the formation enthalpy at 0 K of the first one.
A: -70 meV per atom


Q: What is the formula in the first record?
A: Ho2Cr2Co15